Record 1
The following is a PBE calculation of an optimized crystal structure of Ba2Sb2O5, from the Materials Project.

Unit cell a=7.629 b=7.629 c=6.517 alpha=90.00 beta=90.00 gamma=149.44
Positions (direct):
O  0.157  0.843  0.225
O  0.524  0.476  0.000
O  0.157  0.843  0.775
O  0.841  0.159  0.722
O  0.841  0.159  0.278
Ba  0.324  0.676  0.000
Ba  0.678  0.322  0.500
Sb  0.070  0.930  0.000
Sb  0.931  0.069  0.500

## Properties
Corrected total energy (MP2020 scheme) in eV per atom: -6.431
Final energy in eV/atom: -6.050
Offset from the most stable computed form in meV/atom: 151
Space group: Amm2, No. 38

=====

Record 2
The following is a PBE calculation of an optimized crystal structure of Al10Si2O19, from the Materials Project.

Unit cell a=15.432 b=15.432 c=7.688 alpha=90.00 beta=90.00 gamma=157.89
Positions (direct):
O  0.902  0.098  0.565
O  0.486  0.027  0.703
O  0.164  0.836  0.638
O  0.657  0.343  0.595
O  0.474  0.526  0.427
O  0.785  0.722  0.210
O  0.729  0.271  0.447
O  0.420  0.580  0.939
O  0.076  0.924  0.471
O  0.975  0.025  0.419
O  0.804  0.196  0.553
O  0.025  0.975  0.919
O  0.836  0.653  0.780
O  0.419  0.117  0.307
O  0.580  0.420  0.439
O  0.347  0.164  0.780
O  0.653  0.836  0.280
O  0.196  0.804  0.053
O  0.278  0.215  0.210
O  0.164  0.347  0.280
O  0.883  0.581  0.307
O  0.514  0.973  0.203
O  0.271  0.729  0.947
O  0.836  0.164  0.138
O  0.924  0.076  0.971
O  0.027  0.486  0.203
O  0.216  0.784  0.382
O  0.098  0.902  0.065
O  0.343  0.657  0.095
O  0.581  0.883  0.807
O  0.784  0.216  0.882
O  0.973  0.514  0.703
O  0.599  0.401  0.090
O  0.215  0.278  0.710
O  0.401  0.599  0.590
O  0.117  0.419  0.807
O  0.722  0.785  0.710
O  0.526  0.474  0.927
Al  0.525  0.475  0.320
Al  0.219  0.781  0.824
Al  0.898  0.102  0.170
Al  0.183  0.302  0.493
Al  0.443  0.065  0.508
Al  0.935  0.557  0.508
Al  0.145  0.855  0.189
Al  0.855  0.145  0.689
Al  0.399  0.601  0.163
Al  0.970  0.030  0.839
Al  0.698  0.817  0.493
Al  0.030  0.970  0.339
Al  0.601  0.399  0.663
Al  0.817  0.698  0.993
Al  0.475  0.525  0.820
Al  0.781  0.219  0.324
Al  0.102  0.898  0.670
Al  0.557  0.935  0.008
Al  0.302  0.183  0.993
Al  0.065  0.443  0.008
Si  0.757  0.243  0.686
Si  0.243  0.757  0.186
Si  0.381  0.619  0.784
Si  0.619  0.381  0.284

## Properties
Corrected total energy (MP2020 scheme) in eV per atom: -7.929
Final energy in eV/atom: -7.508
Offset from the most stable computed form in meV/atom: 6
Space group: Cmc2_1, No. 36

=====

Record 3
The following is a PBE calculation of an optimized crystal structure of VPt, from the Materials Project.

Unit cell a=2.704 b=2.704 c=3.918 alpha=90.00 beta=90.00 gamma=90.00
Positions (direct):
V  0.500  0.500  0.500
Pt  0.000  0.000  0.000

## Properties
Final energy in eV/atom: -8.128
Space group: P4/mmm, No. 123

=====

Record 4
The following is a PBE calculation of an optimized crystal structure of Na5AlO4, from the Materials Project.

Unit cell a=5.964 b=10.282 c=18.047 alpha=90.00 beta=90.00 gamma=90.00
Positions (direct):
Na  0.900  0.920  0.751
Na  0.911  0.059  0.064
Na  0.417  0.698  0.139
Na  0.417  0.198  0.361
Na  0.917  0.302  0.361
Na  0.589  0.559  0.936
Na  0.413  0.662  0.502
Na  0.087  0.162  0.498
Na  0.083  0.198  0.861
Na  0.587  0.838  0.002
Na  0.900  0.420  0.749
Na  0.400  0.580  0.751
Na  0.100  0.080  0.249
Na  0.089  0.441  0.564
Na  0.106  0.326  0.173
Na  0.411  0.441  0.064
Na  0.106  0.826  0.327
Na  0.413  0.162  0.998
Na  0.913  0.338  0.998
Na  0.600  0.420  0.249
Na  0.583  0.802  0.639
Na  0.894  0.674  0.827
Na  0.083  0.698  0.639
Na  0.587  0.338  0.498
Na  0.606  0.674  0.327
Na  0.400  0.080  0.749
Na  0.589  0.059  0.564
Na  0.917  0.802  0.139
Na  0.913  0.838  0.502
Na  0.100  0.580  0.251
Na  0.606  0.174  0.173
Na  0.087  0.662  0.002
Na  0.911  0.559  0.436
Na  0.583  0.302  0.861
Na  0.411  0.941  0.436
Na  0.394  0.826  0.827
Na  0.894  0.174  0.673
Na  0.089  0.941  0.936
Na  0.600  0.920  0.251
Na  0.394  0.326  0.673
O  0.236  0.629  0.374
O  0.765  0.622  0.708
O  0.802  0.127  0.951
O  0.302  0.373  0.951
O  0.198  0.873  0.049
O  0.235  0.878  0.208
O  0.622  0.954  0.120
O  0.736  0.371  0.126
O  0.735  0.622  0.208
O  0.302  0.873  0.549
O  0.802  0.627  0.549
O  0.265  0.878  0.708
O  0.235  0.378  0.292
O  0.378  0.546  0.620
O  0.264  0.629  0.874
O  0.698  0.627  0.049
O  0.198  0.373  0.451
O  0.122  0.046  0.380
O  0.878  0.454  0.880
O  0.236  0.129  0.126
O  0.878  0.954  0.620
O  0.765  0.122  0.792
O  0.264  0.129  0.626
O  0.735  0.122  0.292
O  0.622  0.454  0.380
O  0.265  0.378  0.792
O  0.698  0.127  0.451
O  0.378  0.046  0.880
O  0.764  0.871  0.874
O  0.122  0.546  0.120
O  0.736  0.871  0.374
O  0.764  0.371  0.626
Al  0.677  0.039  0.876
Al  0.177  0.461  0.876
Al  0.177  0.961  0.624
Al  0.677  0.539  0.624
Al  0.323  0.461  0.376
Al  0.823  0.539  0.124
Al  0.823  0.039  0.376
Al  0.323  0.961  0.124

## Properties
Corrected total energy (MP2020 scheme) in eV per atom: -5.096
Final energy in eV/atom: -4.821
Space group: Pbca, No. 61

=====

Record 5
The following is a PBE calculation of an optimized crystal structure of Na5GeP3, from the Materials Project.

Unit cell a=7.401 b=8.104 c=15.471 alpha=58.63 beta=90.00 gamma=90.00
Positions (direct):
Na  0.993  0.564  0.758
Na  0.519  0.914  0.913
Na  0.351  0.833  0.742
Na  0.034  0.752  0.916
Na  0.837  0.841  0.081
Na  0.981  0.914  0.413
Na  0.507  0.564  0.258
Na  0.493  0.436  0.742
Na  0.481  0.086  0.087
Na  0.851  0.167  0.758
Na  0.534  0.248  0.584
Na  0.663  0.841  0.581
Na  0.149  0.833  0.242
Na  0.007  0.436  0.242
Na  0.966  0.248  0.084
Na  0.466  0.752  0.416
Na  0.337  0.159  0.419
Na  0.019  0.086  0.587
Na  0.649  0.167  0.258
Na  0.163  0.159  0.919
P  0.237  0.762  0.081
P  0.737  0.238  0.419
P  0.763  0.238  0.919
P  0.736  0.812  0.773
P  0.686  0.522  0.067
P  0.314  0.478  0.933
P  0.264  0.188  0.227
P  0.186  0.478  0.433
P  0.764  0.812  0.273
P  0.236  0.188  0.727
P  0.263  0.762  0.581
P  0.814  0.522  0.567
Ge  0.642  0.515  0.914
Ge  0.142  0.485  0.586
Ge  0.358  0.485  0.086
Ge  0.858  0.515  0.414

## Properties
Final energy in eV/atom: -3.410
Space group: P2_1/c, No. 14

=====

Record 6
The following is a PBE calculation of an optimized crystal structure of DySnAu2, from the Materials Project.

Unit cell a=4.986 b=4.986 c=4.986 alpha=60.00 beta=60.00 gamma=60.00
Positions (direct):
Dy  0.500  0.500  0.500
Sn  0.000  0.000  0.000
Au  0.250  0.250  0.250
Au  0.750  0.750  0.750

## Properties
Final energy in eV/atom: -4.485
Space group: Fm-3m, No. 225

=====

Record 7
The following is a PBE calculation of an optimized crystal structure of CaYHg2, from the Materials Project.

Unit cell a=5.306 b=5.306 c=5.306 alpha=60.00 beta=60.00 gamma=60.00
Positions (direct):
Y  0.000  0.000  0.000
Hg  0.250  0.250  0.250
Hg  0.750  0.750  0.750
Ca  0.500  0.500  0.500

## Properties
Final energy in eV/atom: -2.808
Space group: Fm-3m, No. 225

=====

Record 8
The following is a PBE calculation of an optimized crystal structure of MgAl6O10, from the Materials Project.

Unit cell a=5.707 b=5.707 c=23.364 alpha=82.67 beta=82.67 gamma=60.22
Positions (direct):
O  0.949  0.949  0.145
O  0.343  0.871  0.449
O  0.145  0.646  0.059
O  0.672  0.116  0.543
O  0.089  0.527  0.856
O  0.046  0.046  0.864
O  0.062  0.062  0.348
O  0.646  0.145  0.059
O  0.267  0.267  0.748
O  0.527  0.527  0.856
O  0.717  0.267  0.748
O  0.671  0.671  0.544
O  0.646  0.646  0.055
O  0.743  0.743  0.249
O  0.265  0.764  0.247
O  0.850  0.850  0.947
O  0.537  0.037  0.350
O  0.146  0.146  0.059
O  0.350  0.850  0.947
O  0.853  0.853  0.450
O  0.448  0.448  0.658
O  0.116  0.672  0.543
O  0.764  0.265  0.247
O  0.566  0.566  0.343
O  0.871  0.343  0.449
O  0.456  0.456  0.150
O  0.918  0.463  0.148
O  0.932  0.932  0.651
O  0.752  0.752  0.744
O  0.346  0.346  0.448
O  0.527  0.089  0.856
O  0.157  0.157  0.537
O  0.932  0.486  0.651
O  0.237  0.237  0.251
O  0.850  0.350  0.947
O  0.348  0.348  0.952
O  0.463  0.918  0.148
O  0.037  0.537  0.350
O  0.486  0.932  0.651
O  0.267  0.717  0.748
Al  0.703  0.194  0.907
Al  0.599  0.100  0.702
Al  0.217  0.217  0.391
Al  0.403  0.902  0.296
Al  0.267  0.267  0.174
Al  0.001  0.505  0.497
Al  0.674  0.674  0.973
Al  0.292  0.803  0.096
Al  0.801  0.801  0.600
Al  0.599  0.599  0.702
Al  0.902  0.403  0.296
Al  0.802  0.802  0.097
Al  0.803  0.292  0.096
Al  0.194  0.194  0.907
Al  0.323  0.323  0.030
Al  0.931  0.931  0.224
Al  0.398  0.398  0.805
Al  0.535  0.535  0.418
Al  0.100  0.599  0.702
Al  0.002  0.002  0.497
Al  0.505  0.001  0.497
Al  0.584  0.584  0.202
Al  0.875  0.875  0.369
Al  0.194  0.703  0.907
Mg  0.126  0.126  0.625
Mg  0.072  0.072  0.780
Mg  0.475  0.475  0.574
Mg  0.723  0.723  0.832

## Properties
Corrected total energy (MP2020 scheme) in eV per atom: -7.701
Final energy in eV/atom: -7.297
Offset from the most stable computed form in meV/atom: 0
Space group: Cm, No. 8

=====

- Number 5 is which compound?
  Na5GeP3